Material: VHgO3
Method: DFT, r2SCAN
State: relaxed

abc: 3.5834 4.8787 8.6258
angles: 93.68 101.54 91.26
Closest atoms and distances in Å follow each position.
Fractional coordinates of all 10 atoms:
V 0.1763 0.3799 0.3622  2 O 1.62-1.73
V 0.8237 0.6201 0.6378  2 O 1.62-1.73
Hg 0.3596 0.8197 0.0770  1 O 2.14
Hg 0.6404 0.1803 0.9230  1 O 2.14
O 0.1024 0.4858 0.1717  1 V 1.73
O 0.1544 0.0465 0.3400  1 V 1.62
O 0.2948 0.5225 0.5898  3 V 1.88-2.00
O 0.7052 0.4775 0.4102  3 V 1.88-2.00
O 0.8456 0.9535 0.6600  1 V 1.62
O 0.8976 0.5142 0.8283  1 V 1.73

ΔH_f (0 K), meV/atom: -1843
Total magnetic moment, μB/cell: 0.00


Material: Tb2Ru2O7
Method: DFT, r2SCAN
State: relaxed

abc: 7.1985 7.1985 7.1985
angles: 60.00 60.00 60.00
Closest atoms and distances in Å follow each position.
Fractional coordinates of all 22 atoms:
Tb 0.0000 0.0000 0.0000  8 O 2.20-2.45
Tb 0.0000 0.0000 0.5000  8 O 2.20-2.45
Tb 0.0000 0.5000 0.0000  8 O 2.20-2.45
Tb 0.5000 0.0000 0.0000  8 O 2.20-2.45
Ru 0.0000 0.5000 0.5000  6 O 2.00
Ru 0.5000 0.0000 0.5000  6 O 2.00
Ru 0.5000 0.5000 0.0000  6 O 2.00
Ru 0.5000 0.5000 0.5000  6 O 2.00
O 0.1250 0.1250 0.1250  4 Tb 2.20
O 0.1634 0.1634 0.5866  2 Ru 2.00
O 0.1634 0.5866 0.1634  2 Ru 2.00
O 0.1634 0.5866 0.5866  2 Ru 2.00
O 0.4134 0.4134 0.8366  2 Ru 2.00
O 0.4134 0.8366 0.4134  2 Ru 2.00
O 0.4134 0.8366 0.8366  2 Ru 2.00
O 0.5866 0.1634 0.1634  2 Ru 2.00
O 0.5866 0.1634 0.5866  2 Ru 2.00
O 0.5866 0.5866 0.1634  2 Ru 2.00
O 0.8366 0.4134 0.4134  2 Ru 2.00
O 0.8366 0.4134 0.8366  2 Ru 2.00
O 0.8366 0.8366 0.4134  2 Ru 2.00
O 0.8750 0.8750 0.8750  4 Tb 2.20

ΔH_f (0 K), meV/atom: -2473
Total magnetic moment, μB/cell: 8.00


Material: PrPS4
Method: DFT, r2SCAN
State: relaxed

abc: 12.4803 12.4803 12.4803
angles: 127.67 127.67 77.17
Closest atoms and distances in Å follow each position.
Fractional coordinates of all 48 atoms:
Pr 0.1250 0.3750 0.7500  8 S 2.97-3.02
Pr 0.1250 0.8750 0.2500  8 S 2.93-3.07
Pr 0.3750 0.1250 0.2500  8 S 2.97-3.02
Pr 0.3750 0.6250 0.7500  8 S 2.93-3.07
Pr 0.6250 0.3750 0.2500  8 S 2.93-3.07
Pr 0.6250 0.8750 0.7500  8 S 2.97-3.02
Pr 0.8750 0.1250 0.7500  8 S 2.93-3.07
Pr 0.8750 0.6250 0.2500  8 S 2.97-3.02
P 0.2123 0.2500 0.4623  4 S 2.03-2.04
P 0.2500 0.2877 0.0377  4 S 2.03-2.04
P 0.2500 0.7877 0.5377  4 S 2.03-2.04
P 0.2877 0.7500 0.0377  4 S 2.03-2.04
P 0.7123 0.2500 0.9623  4 S 2.03-2.04
P 0.7500 0.2123 0.4623  4 S 2.03-2.04
P 0.7500 0.7123 0.9623  4 S 2.03-2.04
P 0.7877 0.7500 0.5377  4 S 2.03-2.04
S 0.0923 0.8853 0.4809  1 P 2.04
S 0.0956 0.3886 0.9809  1 P 2.04
S 0.0972 0.6657 0.9349  1 P 2.03
S 0.1114 0.4044 0.5191  1 P 2.04
S 0.1147 0.0956 0.2070  1 P 2.04
S 0.1623 0.0972 0.9315  1 P 2.03
S 0.1657 0.5972 0.4349  1 P 2.03
S 0.2307 0.1623 0.5651  1 P 2.03
S 0.2693 0.8343 0.9315  1 P 2.03
S 0.3343 0.7693 0.4315  1 P 2.03
S 0.3377 0.2693 0.9349  1 P 2.03
S 0.3853 0.5923 0.9809  1 P 2.04
S 0.3886 0.9077 0.2930  1 P 2.04
S 0.4028 0.3377 0.5685  1 P 2.03
S 0.4044 0.3853 0.2930  1 P 2.04
S 0.4077 0.8886 0.7930  1 P 2.04
S 0.5923 0.1114 0.2070  1 P 2.04
S 0.5956 0.6147 0.7070  1 P 2.04
S 0.5972 0.6623 0.4315  1 P 2.03
S 0.6114 0.0923 0.7070  1 P 2.04
S 0.6147 0.4077 0.0191  1 P 2.04
S 0.6623 0.7307 0.0651  1 P 2.03
S 0.6657 0.2307 0.5685  1 P 2.03
S 0.7307 0.1657 0.0685  1 P 2.03
S 0.7693 0.8377 0.4349  1 P 2.03
S 0.8343 0.4028 0.5651  1 P 2.03
S 0.8377 0.9028 0.0685  1 P 2.03
S 0.8853 0.9044 0.7930  1 P 2.04
S 0.8886 0.5956 0.4809  1 P 2.04
S 0.9028 0.3343 0.0651  1 P 2.03
S 0.9044 0.6114 0.0191  1 P 2.04
S 0.9077 0.1147 0.5191  1 P 2.04

ΔH_f (0 K), meV/atom: -1254
Total magnetic moment, μB/cell: 0.00


Material: NdSi2Ir3
Method: DFT, r2SCAN
State: relaxed

abc: 6.6804 6.6804 6.6804
angles: 114.78 86.20 130.33
Closest atoms and distances in Å follow each position.
Fractional coordinates of all 12 atoms:
Nd 0.4714 0.2214 0.2500  12 Ir 3.16-3.53, 6 Si 3.17-3.36
Nd 0.5286 0.7786 0.7500  12 Ir 3.16-3.53, 6 Si 3.17-3.36
Si 0.1232 0.7023 0.4209  6 Ir 2.43-2.47
Si 0.2186 0.2977 0.9209  6 Ir 2.43-2.47
Si 0.7814 0.7023 0.0791  6 Ir 2.43-2.47
Si 0.8768 0.2977 0.5791  6 Ir 2.43-2.47
Ir 0.0000 0.0000 0.5000  4 Si 2.47
Ir 0.0000 0.2202 0.2202  4 Si 2.43-2.44
Ir 0.0000 0.5000 0.0000  4 Si 2.47
Ir 0.0000 0.7798 0.7798  4 Si 2.43-2.44
Ir 0.5000 0.2202 0.7202  4 Si 2.43-2.44
Ir 0.5000 0.7798 0.2798  4 Si 2.43-2.44

ΔH_f (0 K), meV/atom: -1044
Total magnetic moment, μB/cell: 0.00